Entry 1:
Material: TmLuTl2
Method: DFT, meta-GGA r2SCAN
State: relaxed

a b c (Å): 5.2515 5.2515 5.2515
angles (deg): 60.00 60.00 60.00
Last column: nearest neighbours and their distance in Å.
Fractional positions:
1 Lu 0.5000 0.5000 0.5000  8 Tl 3.22
2 Tm 0.0000 0.0000 0.0000  8 Tl 3.22
3 Tl 0.2500 0.2500 0.2500  4 Lu 3.22, 4 Tm 3.22
4 Tl 0.7500 0.7500 0.7500  4 Tm 3.22, 4 Lu 3.22

Uncorrected energy: -45.25 eV/atom
Space group: Fm-3m
Calculated formation energy: -35 kJ per mole of atoms

***

Entry 2:
Material: YLuTl2
Method: DFT, meta-GGA r2SCAN
State: relaxed

a b c (Å): 5.2955 5.2955 5.2955
angles (deg): 60.00 60.00 60.00
Last column: nearest neighbours and their distance in Å.
Fractional positions:
1 Tl 0.0000 0.0000 0.0000  4 Y 3.24, 4 Lu 3.24
2 Tl 0.5000 0.5000 0.5000  4 Y 3.24, 4 Lu 3.24
3 Lu 0.2500 0.2500 0.2500  8 Tl 3.24
4 Y 0.7500 0.7500 0.7500  8 Tl 3.24

Uncorrected energy: -41.59 eV/atom
Space group: Fm-3m
Calculated formation energy: -38 kJ per mole of atoms

***

Entry 3:
Material: YbLuTl2
Method: DFT, meta-GGA r2SCAN
State: relaxed

a b c (Å): 5.2434 5.2434 5.2434
angles (deg): 60.00 60.00 60.00
Last column: nearest neighbours and their distance in Å.
Fractional positions:
1 Tl 0.7500 0.7500 0.7500  4 Yb 3.21, 4 Lu 3.21
2 Tl 0.2500 0.2500 0.2500  4 Yb 3.21, 4 Lu 3.21
3 Yb 0.0000 0.0000 0.0000  8 Tl 3.21
4 Lu 0.5000 0.5000 0.5000  8 Tl 3.21

Uncorrected energy: -45.60 eV/atom
Space group: Fm-3m
Calculated formation energy: -34 kJ per mole of atoms

***

Entry 4:
Material: Tm3Lu
Method: DFT, meta-GGA r2SCAN
State: relaxed

a b c (Å): 7.1054 7.1054 5.4766
angles (deg): 90.00 90.00 120.00
Last column: nearest neighbours and their distance in Å.
Fractional positions:
1 Tm 0.8327 0.6654 0.7500  4 Lu 3.42-3.55, 8 Tm 3.43-3.57
2 Tm 0.8327 0.1673 0.7500  4 Lu 3.42-3.55, 8 Tm 3.43-3.57
3 Tm 0.1673 0.8327 0.2500  4 Lu 3.42-3.55, 8 Tm 3.43-3.57
4 Tm 0.3346 0.1673 0.7500  4 Lu 3.42-3.55, 8 Tm 3.43-3.57
5 Tm 0.1673 0.3346 0.2500  4 Lu 3.42-3.55, 8 Tm 3.43-3.57
6 Tm 0.6654 0.8327 0.2500  4 Lu 3.42-3.55, 8 Tm 3.43-3.57
7 Lu 0.3333 0.6667 0.7500  12 Tm 3.42-3.55
8 Lu 0.6667 0.3333 0.2500  12 Tm 3.42-3.55

Uncorrected energy: -35.86 eV/atom
Space group: P6_3/mmc
Calculated formation energy: 0 kJ per mole of atoms

***

The lowest calculated formation energy belongs to which entry? YLuTl2

***

Among the records above, which one has the lowest uncorrected energy? YbLuTl2

***

Among the records above, which one has the highest uncorrected energy? Tm3Lu